First-principles (PBE with a Hubbard U) data for BaMn2O8 after structural relaxation, as listed in the Materials Project database.

Output
- Symmetry: Fddd (70)
- Crystal system: orthorhombic

Cell: 10.8838 8.4558 7.9149 Å, 83.27 50.49 46.24°
Atoms (fractional coordinates):
1 Ba 0.1250 0.1250 0.1250
2 Ba 0.8750 0.8750 0.8750
3 Mn 0.1279 0.6221 0.1279
4 Mn 0.3779 0.8721 0.3779
5 Mn 0.6221 0.1279 0.6221
6 Mn 0.8721 0.3779 0.8721
7 O 0.0318 0.1916 0.5477
8 O 0.0589 0.4203 0.6928
9 O 0.1916 0.0318 0.7289
10 O 0.2711 0.4523 0.8084
11 O 0.3072 0.6721 0.9411
12 O 0.3279 0.6928 0.4203
13 O 0.4203 0.0589 0.3279
14 O 0.4523 0.2711 0.9682
15 O 0.5477 0.7289 0.0318
16 O 0.5797 0.9411 0.6721
17 O 0.6721 0.3072 0.5797
18 O 0.6928 0.3279 0.0589
19 O 0.7289 0.5477 0.1916
20 O 0.8084 0.9682 0.2711
21 O 0.9411 0.5797 0.3072
22 O 0.9682 0.8084 0.4523

***

First-principles (PBE with a Hubbard U) data for Ba2MnO3 after structural relaxation, as listed in the Materials Project database.

Output
- Symmetry: Cc (9)
- Crystal system: monoclinic

Cell: 6.5535 6.5535 12.8177 Å, 91.48 91.48 125.92°
Atoms (fractional coordinates):
1 Ba 0.1020 0.8980 0.5000
2 Ba 0.2025 0.7878 0.9234
3 Ba 0.3245 0.7303 0.2253
4 Ba 0.4178 0.6318 0.6497
5 Ba 0.6318 0.4178 0.1497
6 Ba 0.7303 0.3245 0.7253
7 Ba 0.7878 0.2025 0.4234
8 Ba 0.8980 0.1020 0.0000
9 Mn 0.0362 0.0402 0.2394
10 Mn 0.0402 0.0362 0.7394
11 Mn 0.4794 0.4906 0.4115
12 Mn 0.4906 0.4794 0.9115
13 O 0.0859 0.8838 0.1121
14 O 0.1651 0.3663 0.8247
15 O 0.2490 0.9083 0.7068
16 O 0.2695 0.6180 0.4427
17 O 0.3663 0.1651 0.3247
18 O 0.4379 0.6307 0.0392
19 O 0.6180 0.2695 0.9427
20 O 0.6307 0.4379 0.5392
21 O 0.7565 0.7720 0.3272
22 O 0.7720 0.7565 0.8272
23 O 0.8838 0.0859 0.6121
24 O 0.9083 0.2490 0.2068

***

Quick rundown of DFT formation energy, same order as above: -1303 -2556 meV per atom